Model w:
# PBE MgCr2S4, optimized geometry
# * space-group type: I-4, No. 82
data_MgCr2S4
_cell_length_a 5.6329
_cell_length_b 5.6329
_cell_length_c 10.0848
_cell_angle_alpha 90.00
_cell_angle_beta 90.00
_cell_angle_gamma 90.00
_symmetry_space_group_name_H-M 'P 1'
_symmetry_Int_Tables_number 1
loop_
_symmetry_equiv_pos_as_xyz
'x,y,z'
loop_
_atom_site_label
_atom_site_type_symbol
_atom_site_fract_x
_atom_site_fract_y
_atom_site_fract_z
_atom_site_occupancy
Mg1 Mg 0.0000 0.0000 0.0000 1
Mg2 Mg 0.5000 0.5000 0.5000 1
Cr1 Cr 0.0000 0.0000 0.5000 1
Cr2 Cr 0.0000 0.5000 0.2500 1
Cr3 Cr 0.5000 0.0000 0.7500 1
Cr4 Cr 0.5000 0.5000 0.0000 1
S1 S 0.2224 0.7532 0.3711 1
S2 S 0.2468 0.2224 0.6289 1
S3 S 0.2532 0.2776 0.1289 1
S4 S 0.2776 0.7468 0.8711 1
S5 S 0.7224 0.2532 0.8711 1
S6 S 0.7468 0.7224 0.1289 1
S7 S 0.7532 0.7776 0.6289 1
S8 S 0.7776 0.2468 0.3711 1


Model x:
# PBE MgCr2S4, optimized geometry
# * space-group type: P-3m1, No. 164
data_MgCr2S4
_cell_length_a 3.5081
_cell_length_b 3.5081
_cell_length_c 12.0789
_cell_angle_alpha 90.00
_cell_angle_beta 90.00
_cell_angle_gamma 120.00
_symmetry_space_group_name_H-M 'P 1'
_symmetry_Int_Tables_number 1
loop_
_symmetry_equiv_pos_as_xyz
'x,y,z'
loop_
_atom_site_label
_atom_site_type_symbol
_atom_site_fract_x
_atom_site_fract_y
_atom_site_fract_z
_atom_site_occupancy
Mg1 Mg 0.0000 0.0000 0.0000 1
Cr1 Cr 0.0000 0.0000 0.2597 1
Cr2 Cr 0.0000 0.0000 0.7403 1
S1 S 0.3333 0.6667 0.1311 1
S2 S 0.3333 0.6667 0.6416 1
S3 S 0.6667 0.3333 0.3584 1
S4 S 0.6667 0.3333 0.8689 1


The winner here is model x, beating the second structure by 0.194 eV/atom.


Model w:
# PBE SrMg14Cr, optimized geometry
# * space-group type: P-6m2, No. 187
data_SrMg14Cr
_cell_length_a 6.4952
_cell_length_b 6.4952
_cell_length_c 10.4321
_cell_angle_alpha 90.00
_cell_angle_beta 90.00
_cell_angle_gamma 120.00
_symmetry_space_group_name_H-M 'P 1'
_symmetry_Int_Tables_number 1
loop_
_symmetry_equiv_pos_as_xyz
'x,y,z'
loop_
_atom_site_label
_atom_site_type_symbol
_atom_site_fract_x
_atom_site_fract_y
_atom_site_fract_z
_atom_site_occupancy
Sr1 Sr 0.0000 0.0000 0.0000 1
Mg1 Mg 0.0083 0.5042 0.0000 1
Mg2 Mg 0.1684 0.3367 0.2639 1
Mg3 Mg 0.1684 0.3367 0.7361 1
Mg4 Mg 0.1684 0.8316 0.2639 1
Mg5 Mg 0.1684 0.8316 0.7361 1
Mg6 Mg 0.4958 0.5042 0.0000 1
Mg7 Mg 0.4958 0.9917 0.0000 1
Mg8 Mg 0.5005 0.0010 0.5000 1
Mg9 Mg 0.5005 0.4995 0.5000 1
Mg10 Mg 0.6633 0.8316 0.2639 1
Mg11 Mg 0.6633 0.8316 0.7361 1
Mg12 Mg 0.6667 0.3333 0.2441 1
Mg13 Mg 0.6667 0.3333 0.7559 1
Mg14 Mg 0.9990 0.4995 0.5000 1
Cr1 Cr 0.0000 0.0000 0.5000 1


Model x:
# PBE SrMg14Cr, optimized geometry
# * space-group type: Amm2, No. 38
data_SrMg14Cr
_cell_length_a 10.4740
_cell_length_b 6.5204
_cell_length_c 6.5204
_cell_angle_alpha 59.51
_cell_angle_beta 90.00
_cell_angle_gamma 90.00
_symmetry_space_group_name_H-M 'P 1'
_symmetry_Int_Tables_number 1
loop_
_symmetry_equiv_pos_as_xyz
'x,y,z'
loop_
_atom_site_label
_atom_site_type_symbol
_atom_site_fract_x
_atom_site_fract_y
_atom_site_fract_z
_atom_site_occupancy
Sr1 Sr 0.0000 0.0000 0.0000 1
Mg1 Mg 0.0000 0.0104 0.4942 1
Mg2 Mg 0.0000 0.4942 0.0104 1
Mg3 Mg 0.2390 0.6610 0.6610 1
Mg4 Mg 0.2576 0.1723 0.6528 1
Mg5 Mg 0.2576 0.6528 0.1723 1
Mg6 Mg 0.2643 0.1681 0.1681 1
Mg7 Mg 0.5000 0.4991 0.4991 1
Mg8 Mg 0.5000 0.5005 0.9958 1
Mg9 Mg 0.5000 0.9958 0.5005 1
Mg10 Mg 0.5000 0.9975 0.9975 1
Mg11 Mg 0.7357 0.1681 0.1681 1
Mg12 Mg 0.7424 0.1723 0.6528 1
Mg13 Mg 0.7424 0.6528 0.1723 1
Mg14 Mg 0.7610 0.6610 0.6610 1
Cr1 Cr 0.0000 0.4945 0.4945 1


The winner here is model x, beating the second structure by 0.005 eV/atom.


Model w:
This record from the Materials Project describes crystalline Mg6TiCr at its relaxed geometry. The functional is PBE.

The structure in CIF format:
```
data_Mg6TiCr
_cell_length_a 4.9197
_cell_length_b 6.2061
_cell_length_c 10.8516
_cell_angle_alpha 90.00
_cell_angle_beta 90.00
_cell_angle_gamma 90.00
_symmetry_space_group_name_H-M 'P 1'
_symmetry_Int_Tables_number 1
loop_
_symmetry_equiv_pos_as_xyz
'x,y,z'
loop_
_atom_site_label
_atom_site_type_symbol
_atom_site_fract_x
_atom_site_fract_y
_atom_site_fract_z
_atom_site_occupancy
Mg1 Mg 0.0000 0.7420 0.0829 1
Mg2 Mg 0.0000 0.2580 0.0829 1
Mg3 Mg 0.0000 0.0000 0.3357 1
Mg4 Mg 0.5000 0.2586 0.4153 1
Mg5 Mg 0.5000 0.7414 0.4153 1
Mg6 Mg 0.5000 0.0000 0.1668 1
Mg7 Mg 0.0000 0.2420 0.5829 1
Mg8 Mg 0.0000 0.7580 0.5829 1
Mg9 Mg 0.0000 0.5000 0.8357 1
Mg10 Mg 0.5000 0.7586 0.9153 1
Mg11 Mg 0.5000 0.2414 0.9153 1
Mg12 Mg 0.5000 0.5000 0.6668 1
Ti1 Ti 0.0000 0.5000 0.3212 1
Ti2 Ti 0.0000 0.0000 0.8212 1
Cr1 Cr 0.5000 0.5000 0.1800 1
Cr2 Cr 0.5000 0.0000 0.6800 1
```


Model x:
# PBE Mg6TiCr, optimized geometry
# * space-group type: Amm2, No. 38
data_Mg6TiCr
_cell_length_a 4.9826
_cell_length_b 6.1959
_cell_length_c 10.7965
_cell_angle_alpha 90.00
_cell_angle_beta 90.00
_cell_angle_gamma 90.00
_symmetry_space_group_name_H-M 'P 1'
_symmetry_Int_Tables_number 1
loop_
_symmetry_equiv_pos_as_xyz
'x,y,z'
loop_
_atom_site_label
_atom_site_type_symbol
_atom_site_fract_x
_atom_site_fract_y
_atom_site_fract_z
_atom_site_occupancy
Mg1 Mg 0.0000 0.0000 0.0000 1
Mg2 Mg 0.0000 0.0000 0.5000 1
Mg3 Mg 0.0000 0.2500 0.2583 1
Mg4 Mg 0.0000 0.2500 0.7583 1
Mg5 Mg 0.0000 0.5000 0.0000 1
Mg6 Mg 0.0000 0.5000 0.5000 1
Mg7 Mg 0.0000 0.7500 0.2583 1
Mg8 Mg 0.0000 0.7500 0.7583 1
Mg9 Mg 0.5000 0.2484 0.0880 1
Mg10 Mg 0.5000 0.2516 0.5880 1
Mg11 Mg 0.5000 0.7484 0.5880 1
Mg12 Mg 0.5000 0.7516 0.0880 1
Ti1 Ti 0.5000 0.0000 0.8373 1
Ti2 Ti 0.5000 0.5000 0.3373 1
Cr1 Cr 0.5000 0.0000 0.3367 1
Cr2 Cr 0.5000 0.5000 0.8367 1


The winner here is model w, beating the second structure by 0.018 eV/atom.